1.
Computed, not measured: a relaxed CaGa2Cu3Ru2O12 crystal at the PBE level of DFT.

Structure (POSCAR):
```
CaGa2Cu3Ru2O12
1.0
4.650 -0.567 4.427
5.370 -2.267 -2.752
6.575 3.545 -0.180
Ca Ga Cu Ru O
1 2 3 2 12
direct
0.000 0.000 0.000 Ca
0.500 0.000 0.500 Ga
0.000 0.500 0.500 Ga
0.500 0.500 0.000 Cu
0.500 0.500 0.500 Cu
0.000 0.000 0.500 Cu
0.000 0.500 0.000 Ru
0.500 0.000 0.000 Ru
0.828 0.828 0.479 O
0.172 0.172 0.521 O
0.827 0.827 0.865 O
0.173 0.173 0.135 O
0.305 0.690 0.831 O
0.695 0.310 0.169 O
0.690 0.305 0.831 O
0.310 0.695 0.169 O
0.136 0.482 0.694 O
0.864 0.518 0.306 O
0.518 0.864 0.306 O
0.482 0.136 0.694 O
```

The spin magnetization is 3.00 Bohr magnetons per cell. The space-group type is No. 12.



2.
Computed, not measured: a relaxed Tm5Re2O12 crystal at the PBE level of DFT.

Structure (POSCAR):
```
Tm5Re2O12
1.0
2.812 6.142 0.000
-2.812 6.142 0.000
0.000 2.290 7.088
Tm Re O
5 2 12
direct
0.802 0.802 0.359 Tm
0.198 0.198 0.641 Tm
0.186 0.186 0.178 Tm
0.814 0.814 0.822 Tm
0.500 0.500 0.500 Tm
0.285 0.715 0.000 Re
0.715 0.285 0.000 Re
0.413 0.922 0.913 O
0.078 0.587 0.087 O
0.587 0.078 0.087 O
0.922 0.413 0.913 O
0.599 0.094 0.573 O
0.906 0.401 0.427 O
0.401 0.906 0.427 O
0.001 0.001 0.819 O
0.999 0.999 0.181 O
0.498 0.498 0.792 O
0.502 0.502 0.208 O
0.094 0.599 0.573 O
```

The space-group type is No. 12.



3.
Computed, not measured: a relaxed Co3Si6N11 crystal at the PBE level of DFT.

Structure (POSCAR):
```
Co3Si6N11
1.0
-7.413 5.890 -1.286
-2.361 -0.961 9.208
2.821 3.794 1.119
Co Si N
6 12 22
direct
0.341 0.841 0.915 Co
0.659 0.159 0.915 Co
0.159 0.341 0.915 Co
0.841 0.659 0.915 Co
0.500 0.500 0.963 Co
0.000 0.000 0.963 Co
0.428 0.286 0.538 Si
0.572 0.714 0.538 Si
0.072 0.786 0.538 Si
0.928 0.214 0.538 Si
0.286 0.572 0.538 Si
0.714 0.428 0.538 Si
0.786 0.928 0.538 Si
0.214 0.072 0.538 Si
0.875 0.375 0.044 Si
0.125 0.625 0.044 Si
0.625 0.875 0.044 Si
0.375 0.125 0.044 Si
0.318 0.411 0.685 N
0.682 0.589 0.685 N
0.182 0.911 0.685 N
0.818 0.089 0.685 N
0.411 0.682 0.685 N
0.589 0.318 0.685 N
0.911 0.818 0.685 N
0.089 0.182 0.685 N
0.433 0.281 0.184 N
0.567 0.719 0.184 N
0.067 0.781 0.184 N
0.933 0.219 0.184 N
0.281 0.567 0.184 N
0.719 0.433 0.184 N
0.781 0.933 0.184 N
0.219 0.067 0.184 N
0.866 0.366 0.684 N
0.134 0.634 0.684 N
0.634 0.866 0.684 N
0.366 0.134 0.684 N
0.500 0.000 0.093 N
0.000 0.500 0.093 N
```

The spin magnetization is 16.00 Bohr magnetons per cell. The space-group type is No. 100.



Number 1: ΔH_f (0 K) -1.67 eV per atom. Number 2: ΔH_f (0 K) -3.40 eV per atom. Number 3: ΔH_f (0 K) -0.40 eV per atom.